Record 1
SbCl4F PBE-GGA optimized geometry; energy of formation = -1061 meV/atom; SG = I-4 (82); uncorrected energy = -77.36 eV for the cell shown; calculated volume = 750.4 Å³ per cell
1.0
-6.723 6.723 4.151
6.723 -6.723 4.151
6.723 6.723 -4.151
Sb Cl F
4 16 4
Cartesian
0.620 3.764 2.155 Sb
-2.959 6.103 1.996 Sb
2.959 7.343 1.996 Sb
-0.620 9.683 2.155 Sb
9.473 0.545 0.168 Cl
4.041 4.044 -1.937 Cl
7.514 4.814 -1.903 Cl
6.191 2.511 0.295 Cl
0.545 3.973 -0.168 Cl
-0.791 1.909 2.247 Cl
4.212 -0.532 3.855 Cl
2.682 2.679 2.214 Cl
2.511 7.255 -0.295 Cl
9.402 4.041 1.937 Cl
4.814 5.932 1.903 Cl
6.178 2.750 3.983 Cl
1.909 0.791 6.054 Cl
0.532 4.212 4.446 Cl
-2.679 2.682 6.087 Cl
-2.750 6.178 4.319 Cl
-1.064 5.089 2.086 F
1.634 5.659 2.064 F
-1.634 7.787 2.064 F
1.064 8.358 2.086 F

=====

Record 2
Li2AgF3 PBE-GGA optimized geometry; energy of formation = -2485 meV/atom; offset from the most stable computed form = 0.00 eV per formula unit; SG = P-3m1 (164); uncorrected energy = -25.92 eV for the cell shown; calculated volume = 63.6 Å³ per cell
1.0
2.988 0.000 0.000
-1.494 2.588 0.000
0.000 0.000 8.221
Li Ag F
2 1 3
Cartesian
0.000 1.725 1.164 Li
1.494 0.863 7.057 Li
0.000 0.000 4.110 Ag
0.000 0.000 0.000 F
0.000 1.725 5.945 F
1.494 0.863 2.276 F

=====

Record 3
LuAlO3 PBE-GGA optimized geometry; energy of formation = -3784 meV/atom; SG = Pnma (62); uncorrected energy = -159.88 eV for the cell shown; calculated volume = 202.1 Å³ per cell
1.0
5.362 0.000 0.000
0.000 7.360 0.000
0.000 0.000 5.120
Lu Al O
4 4 12
Cartesian
0.341 1.840 0.088 Lu
2.340 5.520 2.648 Lu
3.022 1.840 2.472 Lu
5.021 5.520 5.032 Lu
0.000 0.000 2.560 Al
0.000 3.680 2.560 Al
2.681 0.000 0.000 Al
2.681 3.680 0.000 Al
0.176 5.520 2.037 O
1.074 4.070 4.102 O
1.074 6.971 4.102 O
1.607 0.390 1.542 O
1.607 3.291 1.542 O
2.505 1.840 4.597 O
2.857 5.520 0.523 O
3.755 4.070 3.578 O
3.755 6.971 3.578 O
4.287 0.390 1.018 O
4.287 3.291 1.018 O
5.186 1.840 3.083 O

=====

Record 4
Cr5NiAs3 PBE-GGA optimized geometry; energy of formation = -68 meV/atom; SG = Amm2 (38); uncorrected energy = -68.64 eV for the cell shown; calculated volume = 127.6 Å³ per cell
1.0
3.648 0.000 0.000
0.000 5.569 3.141
0.000 -5.569 3.141
Cr Ni As
5 1 3
Cartesian
0.000 0.000 0.000 Cr
0.000 -2.305 2.512 Cr
0.000 2.305 2.512 Cr
1.824 -1.376 4.551 Cr
1.824 1.376 4.551 Cr
1.824 0.000 2.158 Ni
0.000 0.000 3.673 As
1.824 -3.725 3.794 As
1.824 3.725 3.794 As

=====

Record 5
Na14Mg4Nb4Si9S3O48 PBE-GGA optimized geometry; energy of formation = -2714 meV/atom; SG = P1 (1); uncorrected energy = -1660.85 eV for the cell shown; calculated volume = 3225.9 Å³ per cell
1.0
9.096 0.000 0.000
-0.015 15.803 0.000
-0.023 -0.034 22.443
Na Mg Nb Si S O
42 12 12 27 9 144
Cartesian
0.000 0.000 0.000 Na
9.066 10.604 14.825 Na
0.062 5.347 7.355 Na
1.150 7.940 5.505 Na
1.161 13.313 13.040 Na
1.205 2.768 9.203 Na
1.242 13.527 1.836 Na
1.261 2.771 20.507 Na
1.330 7.856 16.895 Na
2.253 5.372 18.797 Na
2.442 0.045 11.281 Na
2.492 10.611 3.874 Na
2.741 5.738 3.681 Na
2.746 0.454 18.698 Na
2.898 5.305 11.160 Na
2.917 10.385 18.811 Na
3.990 2.483 7.525 Na
4.048 13.249 0.011 Na
4.179 8.378 7.441 Na
4.174 13.655 14.908 Na
4.413 2.679 15.038 Na
4.459 7.952 0.103 Na
4.664 13.305 7.496 Na
5.688 5.557 12.987 Na
5.681 10.675 9.162 Na
5.713 0.004 5.557 Na
5.718 10.654 20.504 Na
5.765 5.392 1.866 Na
5.776 0.028 16.778 Na
6.866 13.257 18.638 Na
6.959 7.874 11.128 Na
7.030 2.632 3.661 Na
7.292 13.734 3.721 Na
7.368 13.223 11.199 Na
7.393 3.002 11.091 Na
7.415 8.277 18.909 Na
7.512 2.485 18.769 Na
8.532 10.423 7.479 Na
8.616 0.438 7.473 Na
8.624 10.891 22.362 Na
8.707 5.282 0.047 Na
8.748 5.708 14.943 Na
1.103 7.849 20.215 Mg
1.165 7.838 2.305 Mg
1.203 2.762 6.028 Mg
1.206 13.408 21.019 Mg
1.235 7.944 13.436 Mg
1.261 2.787 17.349 Mg
5.669 10.699 6.123 Mg
5.675 10.689 17.309 Mg
5.720 5.512 9.766 Mg
5.778 0.079 2.294 Mg
5.777 15.731 13.542 Mg
5.828 15.775 8.953 Mg
1.116 2.723 1.402 Nb
1.138 13.493 16.407 Nb
1.187 13.285 9.819 Nb
1.248 2.752 12.710 Nb
1.252 8.004 8.964 Nb
1.286 13.447 5.222 Nb
5.601 5.412 16.527 Nb
5.685 0.073 20.217 Nb
5.706 10.665 1.513 Nb
5.732 5.372 21.088 Nb
5.784 5.593 5.178 Nb
5.776 10.714 12.547 Nb
2.508 5.149 15.071 Si
2.507 10.997 7.484 Si
2.535 5.723 0.048 Si
2.569 15.698 7.591 Si
2.588 0.491 15.071 Si
3.101 0.129 0.126 Si
3.102 5.331 7.589 Si
3.817 13.226 18.814 Si
3.858 7.987 11.329 Si
4.349 8.405 3.850 Si
4.366 7.780 18.809 Si
4.373 13.666 11.263 Si
4.393 3.048 18.778 Si
4.418 13.037 3.869 Si
7.014 2.428 0.106 Si
7.060 12.949 15.088 Si
7.104 7.771 7.603 Si
7.133 13.594 0.085 Si
7.618 13.316 7.479 Si
7.660 8.059 22.440 Si
8.356 0.165 11.230 Si
8.400 5.406 18.694 Si
8.901 5.700 11.322 Si
8.903 15.664 18.829 Si
8.950 0.475 3.863 Si
8.974 5.075 3.859 Si
9.043 10.309 11.344 Si
2.508 10.338 0.046 S
3.088 10.621 15.040 S
3.847 2.758 3.825 S
4.437 2.413 11.287 S
7.027 3.119 7.540 S
7.035 8.354 15.037 S
7.626 2.764 14.999 S
8.400 10.667 3.782 S
8.983 10.988 18.726 S
0.094 11.941 3.801 O
0.104 11.807 19.924 O
0.160 4.077 2.515 O
0.140 6.787 18.710 O
0.127 14.627 17.460 O
0.168 1.344 5.163 O
0.162 4.049 18.628 O
0.159 9.336 10.014 O
0.221 9.534 3.587 O
0.277 14.652 11.095 O
0.320 1.497 11.482 O
0.419 11.866 11.110 O
0.441 1.319 18.579 O
0.461 9.698 12.714 O
0.488 4.391 5.168 O
0.469 11.671 17.499 O
0.477 14.941 20.068 O
0.514 6.541 3.691 O
0.548 1.214 2.501 O
0.540 14.724 3.902 O
0.561 9.665 18.786 O
0.589 6.441 10.009 O
0.612 4.205 11.442 O
1.754 9.532 7.666 O
1.786 6.238 21.153 O
1.797 11.695 6.160 O
1.807 1.302 7.487 O
1.811 6.585 14.903 O
1.857 4.222 0.313 O
1.870 14.858 8.844 O
1.882 1.216 13.710 O
1.867 14.738 15.106 O
1.898 4.389 16.339 O
1.922 11.669 22.377 O
1.969 9.714 1.266 O
2.095 4.080 7.403 O
2.083 14.610 22.394 O
2.110 11.990 8.749 O
2.140 1.492 0.205 O
2.164 9.490 14.905 O
2.217 6.765 7.644 O
2.219 4.090 13.735 O
2.246 14.642 6.286 O
2.255 1.349 16.365 O
2.258 11.904 15.096 O
2.291 9.490 21.277 O
2.465 6.659 1.355 O
2.731 12.988 3.877 O
2.756 8.256 3.648 O
2.743 13.444 11.092 O
2.764 7.913 18.849 O
2.780 13.458 17.459 O
2.806 2.935 18.725 O
2.894 2.564 11.383 O
2.888 7.714 12.535 O
2.897 12.954 20.091 O
2.915 8.260 9.940 O
2.962 2.999 2.644 O
3.066 2.622 5.063 O
3.880 10.468 16.267 O
4.001 5.083 8.891 O
3.991 10.820 13.857 O
4.032 0.322 21.144 O
4.045 10.478 0.150 O
4.099 10.854 7.499 O
4.108 15.656 1.290 O
4.137 5.588 6.253 O
4.186 0.005 7.659 O
4.165 5.516 22.280 O
4.182 0.332 14.874 O
4.220 5.144 15.083 O
4.499 14.525 12.608 O
4.628 1.602 10.077 O
4.682 9.255 5.150 O
4.678 6.690 17.503 O
4.702 4.036 3.899 O
4.696 14.651 18.833 O
4.736 11.977 2.517 O
4.754 1.620 3.680 O
4.799 4.082 19.973 O
4.835 9.348 11.503 O
4.824 11.968 18.632 O
4.850 6.716 11.160 O
4.963 1.800 12.506 O
4.995 3.789 11.176 O
5.058 6.853 3.891 O
5.065 9.119 2.485 O
5.058 12.116 11.514 O
5.065 12.286 5.125 O
5.066 14.474 3.667 O
5.067 6.975 20.057 O
5.095 3.796 17.415 O
5.150 14.167 9.951 O
5.167 9.168 18.613 O
5.177 1.614 18.850 O
6.324 12.102 0.186 O
6.333 14.303 21.191 O
6.369 1.791 7.594 O
6.404 14.405 14.936 O
6.445 1.845 1.453 O
6.446 7.076 8.871 O
6.455 3.799 6.314 O
6.446 6.955 15.091 O
6.466 8.977 13.795 O
6.466 12.196 16.362 O
6.492 9.233 7.362 O
6.496 3.951 22.287 O
6.615 9.404 0.229 O
6.640 6.729 22.304 O
6.699 1.643 14.812 O
6.715 9.141 16.223 O
6.756 1.424 21.199 O
6.759 11.956 7.442 O
6.753 11.943 13.736 O
6.774 3.932 8.744 O
6.794 6.733 6.256 O
6.780 14.693 7.509 O
6.819 4.050 15.030 O
6.947 14.520 1.364 O
7.263 5.079 3.941 O
7.249 15.675 18.821 O
7.337 5.358 11.085 O
7.327 10.444 11.411 O
7.353 0.297 3.701 O
7.339 5.572 17.361 O
7.372 5.244 19.981 O
7.431 15.679 12.505 O
7.494 10.855 2.554 O
7.513 10.798 18.574 O
7.565 0.568 9.880 O
7.582 10.488 4.985 O
8.436 2.594 16.204 O
8.444 8.444 21.075 O
8.503 2.968 7.427 O
8.512 8.226 14.947 O
8.524 2.967 13.779 O
8.607 7.800 1.258 O
8.619 13.150 8.808 O
8.703 2.576 0.125 O
8.674 13.230 22.279 O
8.693 13.474 6.197 O
8.764 7.791 7.626 O
8.763 12.951 15.140 O
9.066 6.612 12.628 O